(1)
First-principles (PBE-GGA) data for an optimized crystal structure of Pr3ErMn6Fe2Co26, as listed in the Materials Project database.

## Properties
* spin magnetization: 57.070 μB/f.u.
* uncorrected energy: -7.259 eV per atom
* symmetry: Cm, No. 8
* DFT formation energy: -6 meV/atom

Cell: 6.387 6.387 12.782 Å, 82.81 82.81 82.83°
Sites, in units of the cell vectors:
Pr1 0.658 0.658 0.829
Pr2 0.343 0.343 0.172
Pr3 0.342 0.342 0.671
Er1 0.660 0.660 0.330
Mn1 0.002 0.002 0.248
Mn2 0.003 0.003 0.747
Mn3 0.002 0.496 0.500
Mn4 0.002 0.495 0.002
Mn5 0.495 0.002 0.002
Mn6 0.496 0.002 0.500
Fe1 0.906 0.906 0.453
Fe2 0.907 0.907 0.954
Co1 0.288 0.714 0.498
Co2 0.283 0.716 0.001
Co3 0.713 0.998 0.145
Co4 0.716 0.001 0.641
Co5 0.999 0.287 0.357
Co6 0.000 0.284 0.858
Co7 0.287 0.999 0.357
Co8 0.284 0.000 0.858
Co9 0.998 0.713 0.145
Co10 0.001 0.716 0.641
Co11 0.716 0.283 0.001
Co12 0.714 0.288 0.498
Co13 0.347 0.347 0.420
Co14 0.344 0.344 0.920
Co15 0.347 0.840 0.174
Co16 0.345 0.840 0.671
Co17 0.840 0.347 0.174
Co18 0.840 0.345 0.671
Co19 0.656 0.656 0.080
Co20 0.656 0.656 0.575
Co21 0.656 0.155 0.328
Co22 0.656 0.155 0.828
Co23 0.155 0.656 0.328
Co24 0.155 0.656 0.828
Co25 0.094 0.094 0.048
Co26 0.095 0.095 0.546

=====

(2)
First-principles (PBE-GGA) data for an optimized crystal structure of Er2Fe6Co6P7, as listed in the Materials Project database.

## Properties
* spin magnetization: 3.780 μB/f.u.
* uncorrected energy: -7.482 eV per atom
* symmetry: P-6, No. 174
* DFT formation energy: -791 meV/atom

Cell: 3.607 8.982 8.982 Å, 60.00 90.00 90.00°
Sites, in units of the cell vectors:
Er1 0.500 0.333 0.333
Er2 0.000 0.667 0.667
Fe1 0.500 0.123 0.780
Fe2 0.500 0.097 0.123
Fe3 0.500 0.780 0.097
Fe4 0.500 0.950 0.616
Fe5 0.500 0.434 0.950
Fe6 0.500 0.616 0.434
Co1 0.000 0.370 0.568
Co2 0.000 0.062 0.370
Co3 0.000 0.568 0.062
Co4 0.000 0.881 0.846
Co5 0.000 0.274 0.881
Co6 0.000 0.845 0.274
P1 0.000 0.000 0.000
P2 0.500 0.709 0.887
P3 0.500 0.404 0.709
P4 0.500 0.887 0.403
P5 0.000 0.111 0.591
P6 0.000 0.298 0.111
P7 0.000 0.591 0.298

=====

(3)
First-principles (PBE-GGA) data for an optimized crystal structure of Er6Ga21Co7, as listed in the Materials Project database.

## Properties
* spin magnetization: 1.980 μB/f.u.
* uncorrected energy: -4.620 eV per atom
* symmetry: P4/mbm, No. 127
* DFT formation energy: -480 meV/atom

Cell: 4.137 16.594 16.594 Å, 90.00 90.00 90.00°
Sites, in units of the cell vectors:
Er1 0.500 0.108 0.608
Er2 0.500 0.892 0.392
Er3 0.500 0.392 0.108
Er4 0.500 0.608 0.892
Er5 0.000 0.657 0.587
Er6 0.000 0.343 0.413
Er7 0.000 0.843 0.087
Er8 0.000 0.157 0.913
Er9 0.000 0.587 0.343
Er10 0.000 0.413 0.657
Er11 0.000 0.087 0.157
Er12 0.000 0.913 0.843
Ga1 0.000 0.000 0.500
Ga2 0.000 0.500 0.000
Ga3 0.000 0.321 0.821
Ga4 0.000 0.679 0.179
Ga5 0.000 0.179 0.321
Ga6 0.000 0.821 0.679
Ga7 0.500 0.426 0.926
Ga8 0.500 0.574 0.074
Ga9 0.500 0.074 0.426
Ga10 0.500 0.926 0.574
Ga11 0.000 0.575 0.758
Ga12 0.000 0.425 0.242
Ga13 0.000 0.925 0.258
Ga14 0.000 0.075 0.742
Ga15 0.000 0.758 0.425
Ga16 0.000 0.242 0.575
Ga17 0.000 0.258 0.075
Ga18 0.000 0.742 0.925
Ga19 0.500 0.532 0.612
Ga20 0.500 0.468 0.388
Ga21 0.500 0.968 0.112
Ga22 0.500 0.032 0.888
Ga23 0.500 0.612 0.468
Ga24 0.500 0.388 0.532
Ga25 0.500 0.112 0.032
Ga26 0.500 0.888 0.968
Ga27 0.500 0.679 0.709
Ga28 0.500 0.321 0.291
Ga29 0.500 0.821 0.209
Ga30 0.500 0.179 0.791
Ga31 0.500 0.709 0.321
Ga32 0.500 0.291 0.679
Ga33 0.500 0.209 0.179
Ga34 0.500 0.791 0.821
Ga35 0.500 0.772 0.544
Ga36 0.500 0.228 0.456
Ga37 0.500 0.728 0.044
Ga38 0.500 0.272 0.956
Ga39 0.500 0.544 0.228
Ga40 0.500 0.456 0.772
Ga41 0.500 0.044 0.272
Ga42 0.500 0.956 0.728
Co1 0.000 0.219 0.719
Co2 0.000 0.781 0.281
Co3 0.000 0.281 0.219
Co4 0.000 0.719 0.781
Co5 0.000 0.964 0.649
Co6 0.000 0.036 0.351
Co7 0.000 0.536 0.149
Co8 0.000 0.464 0.851
Co9 0.000 0.649 0.036
Co10 0.000 0.351 0.964
Co11 0.000 0.149 0.464
Co12 0.000 0.851 0.536
Co13 0.000 0.500 0.500
Co14 0.000 0.000 0.000